# 1
DFT (r2SCAN) results for crystalline Rb3CrF7 at its relaxed geometry.

Summary:
Size of the total moment   2.00 μB/f.u.
Symmetry   P4/mbm
Energy relative to the elements   -2.965 eV/atom
Total DFT energy (no corrections)   -10.124 eV per atom

CIF file:
```
data_Rb3CrF7
_chemical_formula_sum 'Rb6 Cr2 F14'
_space_group_name_H-M_alt 'P 1'
_space_group_IT_number 1
_space_group_name_Hall 'P 1'
_cell_length_a 8.040
_cell_length_b 8.040
_cell_length_c 5.818
_cell_angle_alpha 90.00
_cell_angle_beta 90.00
_cell_angle_gamma 90.00
loop_
_atom_site_label
_atom_site_fract_x
_atom_site_fract_y
_atom_site_fract_z
Rb1 0.000 0.000 0.000
Rb2 0.191 0.309 0.500
Rb3 0.309 0.809 0.500
Rb4 0.500 0.500 0.000
Rb5 0.691 0.191 0.500
Rb6 0.809 0.691 0.500
Cr1 0.000 0.500 0.000
Cr2 0.500 0.000 0.000
F1 0.000 0.000 0.500
F2 0.111 0.611 0.223
F3 0.111 0.611 0.777
F4 0.164 0.336 0.000
F5 0.336 0.836 0.000
F6 0.389 0.111 0.223
F7 0.389 0.111 0.777
F8 0.500 0.500 0.500
F9 0.611 0.889 0.223
F10 0.611 0.889 0.777
F11 0.664 0.164 0.000
F12 0.836 0.664 0.000
F13 0.889 0.389 0.223
F14 0.889 0.389 0.777
```

=====

# 2
DFT (r2SCAN) results for crystalline SrCrF6 at its relaxed geometry.

Summary:
Size of the total moment   2.00 μB/f.u.
Symmetry   R-3m
Energy relative to the elements   -3.298 eV/atom
Total DFT energy (no corrections)   -9.420 eV per atom

CIF file:
```
data_SrCrF6
_chemical_formula_sum 'Sr1 Cr1 F6'
_space_group_name_H-M_alt 'P 1'
_space_group_IT_number 1
_space_group_name_Hall 'P 1'
_cell_length_a 4.691
_cell_length_b 4.691
_cell_length_c 4.691
_cell_angle_alpha 98.50
_cell_angle_beta 98.50
_cell_angle_gamma 98.50
loop_
_atom_site_label
_atom_site_fract_x
_atom_site_fract_y
_atom_site_fract_z
Sr1 0.000 0.000 0.000
Cr1 0.500 0.500 0.500
F1 0.221 0.221 0.577
F2 0.221 0.577 0.221
F3 0.423 0.779 0.779
F4 0.577 0.221 0.221
F5 0.779 0.423 0.779
F6 0.779 0.779 0.423
```

=====

# 3
DFT (r2SCAN) results for crystalline CrXeF6 at its relaxed geometry.

Summary:
Size of the total moment   2.00 μB/f.u.
Symmetry   P2_1/c
Energy relative to the elements   -1.828 eV/atom
Total DFT energy (no corrections)   -9.042 eV per atom

CIF file:
```
data_CrXeF6
_chemical_formula_sum 'Cr4 Xe4 F24'
_space_group_name_H-M_alt 'P 1'
_space_group_IT_number 1
_space_group_name_Hall 'P 1'
_cell_length_a 7.527
_cell_length_b 7.226
_cell_length_c 12.480
_cell_angle_alpha 90.00
_cell_angle_beta 127.04
_cell_angle_gamma 90.00
loop_
_atom_site_label
_atom_site_fract_x
_atom_site_fract_y
_atom_site_fract_z
Cr1 0.010 0.086 0.258
Cr2 0.010 0.414 0.758
Cr3 0.990 0.586 0.242
Cr4 0.990 0.914 0.742
Xe1 0.384 0.660 0.614
Xe2 0.384 0.840 0.114
Xe3 0.616 0.160 0.886
Xe4 0.616 0.340 0.386
F1 0.034 0.161 0.810
F2 0.034 0.339 0.310
F3 0.097 0.145 0.158
F4 0.097 0.355 0.658
F5 0.154 0.543 0.188
F6 0.154 0.957 0.688
F7 0.268 0.038 0.406
F8 0.268 0.462 0.906
F9 0.292 0.640 0.413
F10 0.292 0.860 0.913
F11 0.485 0.668 0.803
F12 0.485 0.832 0.303
F13 0.515 0.168 0.697
F14 0.515 0.332 0.197
F15 0.708 0.140 0.087
F16 0.708 0.360 0.587
F17 0.732 0.538 0.094
F18 0.732 0.962 0.594
F19 0.846 0.043 0.312
F20 0.846 0.457 0.812
F21 0.903 0.645 0.342
F22 0.903 0.855 0.842
F23 0.966 0.661 0.690
F24 0.966 0.839 0.190
```

=====

# 4
DFT (r2SCAN) results for crystalline ZnCrF6 at its relaxed geometry.

Summary:
Size of the total moment   2.00 μB/f.u.
Symmetry   R-3
Energy relative to the elements   -2.645 eV/atom
Total DFT energy (no corrections)   -7.988 eV per atom

CIF file:
```
data_ZnCrF6
_chemical_formula_sum 'Zn1 Cr1 F6'
_space_group_name_H-M_alt 'P 1'
_space_group_IT_number 1
_space_group_name_Hall 'P 1'
_cell_length_a 5.289
_cell_length_b 5.289
_cell_length_c 5.289
_cell_angle_alpha 55.52
_cell_angle_beta 55.52
_cell_angle_gamma 55.52
loop_
_atom_site_label
_atom_site_fract_x
_atom_site_fract_y
_atom_site_fract_z
Zn1 0.000 0.000 0.000
Cr1 0.500 0.500 0.500
F1 0.130 0.733 0.398
F2 0.267 0.602 0.870
F3 0.398 0.130 0.733
F4 0.602 0.870 0.267
F5 0.733 0.398 0.130
F6 0.870 0.267 0.602
```

=====

# 5
DFT (r2SCAN) results for crystalline Cr3Fe at its relaxed geometry.

Summary:
Size of the total moment   2.77 μB/f.u.
Symmetry   I4/mmm
Energy relative to the elements   0.526 eV/atom
Total DFT energy (no corrections)   -14.383 eV per atom

CIF file:
```
data_Cr3Fe
_chemical_formula_sum 'Cr3 Fe1'
_space_group_name_H-M_alt 'P 1'
_space_group_IT_number 1
_space_group_name_Hall 'P 1'
_cell_length_a 4.693
_cell_length_b 4.693
_cell_length_c 4.693
_cell_angle_alpha 137.70
_cell_angle_beta 137.70
_cell_angle_gamma 61.36
loop_
_atom_site_label
_atom_site_fract_x
_atom_site_fract_y
_atom_site_fract_z
Cr1 0.000 0.000 0.000
Cr2 0.250 0.750 0.500
Cr3 0.750 0.250 0.500
Fe1 0.500 0.500 0.000
```

=====

# 6
DFT (r2SCAN) results for crystalline CrFe3 at its relaxed geometry.

Summary:
Size of the total moment   5.70 μB/f.u.
Symmetry   Fm-3m
Energy relative to the elements   0.144 eV/atom
Total DFT energy (no corrections)   -14.435 eV per atom

CIF file:
```
data_CrFe3
_chemical_formula_sum 'Cr1 Fe3'
_space_group_name_H-M_alt 'P 1'
_space_group_IT_number 1
_space_group_name_Hall 'P 1'
_cell_length_a 4.069
_cell_length_b 4.069
_cell_length_c 4.069
_cell_angle_alpha 60.00
_cell_angle_beta 60.00
_cell_angle_gamma 60.00
loop_
_atom_site_label
_atom_site_fract_x
_atom_site_fract_y
_atom_site_fract_z
Cr1 0.000 0.000 0.000
Fe1 0.250 0.250 0.250
Fe2 0.500 0.500 0.500
Fe3 0.750 0.750 0.750
```